Record 1
YbLuIn2 (r2SCAN, relaxed); SG = Fm-3m (225); raw total energy = -30.459 eV per atom
1.0
0.000 3.678 3.678
3.678 0.000 3.678
3.678 3.678 0.000
Yb Lu In
1 1 2
direct
0.000 0.000 0.000
0.500 0.500 0.500
0.250 0.250 0.250
0.750 0.750 0.750

=====

Record 2
MgIn5 (r2SCAN, relaxed); SG = P-62m (189); raw total energy = -19.506 eV per atom
1.0
6.002 0.000 0.000
-3.001 5.198 0.000
0.000 0.000 4.938
Mg In
1 5
direct
0.000 0.000 0.000
0.000 0.678 0.500
0.322 0.322 0.500
0.333 0.667 0.000
0.667 0.333 0.000
0.678 0.000 0.500

=====

Record 3
MgIn2 (r2SCAN, relaxed); SG = P-62m (189); raw total energy = -16.493 eV per atom
1.0
5.538 0.000 0.000
-2.769 4.796 0.000
0.000 0.000 5.529
Mg In
2 4
direct
0.333 0.667 0.000
0.667 0.333 0.000
0.000 0.000 0.000
0.000 0.664 0.500
0.336 0.336 0.500
0.664 0.000 0.500

=====

Question: Among the records above, which one has the highest raw total energy?
Answer: MgIn2